# 1
The following is a PBE+U calculation of a relaxed structure of MnC5IO5, from the Materials Project.

Summary:
Its crystal system is orthorhombic.

a = 7.6409 Å, b = 11.1673 Å, c = 11.0076 Å
α = 90.00°, β = 90.00°, γ = 90.00°
Space group Cmcm (No. 63)
Unique sites:
Mn 0.0000 0.1448 0.2500 (multiplicity 4)
C 0.0000 0.3096 0.2500 (multiplicity 4)
C 0.1758 0.1337 0.1309 (multiplicity 16)
I 0.0000 0.1021 0.7500 (multiplicity 4)
O 0.0000 0.4130 0.2500 (multiplicity 4)
O 0.2142 0.3745 0.5597 (multiplicity 16)


# 2
The following is a PBE+U calculation of a relaxed structure of Li2Fe3OF6, from the Materials Project.

Summary:
Its crystal system is triclinic.

a = 5.1040 Å, b = 10.6606 Å, c = 11.9145 Å
α = 115.73°, β = 100.81°, γ = 90.40°
Space group P1 (No. 1)
Unique sites:
Li 0.0000 0.0000 0.0000 (multiplicity 1)
Li 0.9998 0.3161 0.2836 (multiplicity 1)
Li 0.2921 0.2884 0.5894 (multiplicity 1)
Li 0.2981 0.2246 0.7994 (multiplicity 1)
Li 0.3537 0.4974 0.0031 (multiplicity 1)
Li 0.6145 0.8244 0.2904 (multiplicity 1)
Li 0.6473 0.7682 0.5607 (multiplicity 1)
Li 0.8423 0.7285 0.7862 (multiplicity 1)
Fe 0.1461 0.0056 0.3137 (multiplicity 1)
Fe 0.1580 0.7740 0.4214 (multiplicity 1)
Fe 0.2287 0.5875 0.5703 (multiplicity 1)
Fe 0.3010 0.9440 0.7477 (multiplicity 1)
Fe 0.4421 0.8027 0.9917 (multiplicity 1)
Fe 0.5073 0.1587 0.1277 (multiplicity 1)
Fe 0.5397 0.4913 0.2919 (multiplicity 1)
Fe 0.6522 0.2826 0.4424 (multiplicity 1)
Fe 0.7078 0.0941 0.5781 (multiplicity 1)
Fe 0.8208 0.4560 0.7756 (multiplicity 1)
Fe 0.8753 0.3142 0.0162 (multiplicity 1)
Fe 0.9931 0.6609 0.1406 (multiplicity 1)
O 0.2434 0.8123 0.2793 (multiplicity 1)
O 0.3756 0.6206 0.4382 (multiplicity 1)
O 0.4321 0.1416 0.4591 (multiplicity 1)
O 0.7133 0.3328 0.1616 (multiplicity 1)
F 0.0153 0.7729 0.5878 (multiplicity 1)
F 0.0318 0.5736 0.7076 (multiplicity 1)
F 0.0351 0.0696 0.7034 (multiplicity 1)
F 0.0765 0.3611 0.8774 (multiplicity 1)
F 0.1344 0.1652 0.0097 (multiplicity 1)
F 0.1394 0.8664 0.8650 (multiplicity 1)
F 0.2014 0.6527 0.9908 (multiplicity 1)
F 0.2185 0.4849 0.1361 (multiplicity 1)
F 0.2730 0.9951 0.1338 (multiplicity 1)
F 0.3610 0.2999 0.2951 (multiplicity 1)
F 0.4719 0.9329 0.5825 (multiplicity 1)
F 0.4855 0.4431 0.5943 (multiplicity 1)
F 0.5328 0.7782 0.7105 (multiplicity 1)
F 0.5418 0.2894 0.7306 (multiplicity 1)
F 0.5461 0.1350 0.8681 (multiplicity 1)
F 0.6499 0.9712 0.0008 (multiplicity 1)
F 0.6637 0.6471 0.8664 (multiplicity 1)
F 0.7142 0.4949 0.0079 (multiplicity 1)
F 0.7296 0.8148 0.1445 (multiplicity 1)
F 0.7810 0.6593 0.2912 (multiplicity 1)
F 0.8588 0.1481 0.2900 (multiplicity 1)
F 0.8912 0.4368 0.4369 (multiplicity 1)
F 0.8923 0.9486 0.4330 (multiplicity 1)
F 0.9432 0.2842 0.6083 (multiplicity 1)


# 3
The following is a PBE+U calculation of a relaxed structure of Na2CoCSO7, from the Materials Project.

Summary:
Its crystal system is triclinic.

a = 8.5644 Å, b = 8.5677 Å, c = 9.0669 Å
α = 91.13°, β = 91.12°, γ = 104.05°
Space group P1 (No. 1)
Unique sites:
Na 0.0000 0.0000 0.0000 (multiplicity 1)
Na 0.0172 0.5183 0.4261 (multiplicity 1)
Na 0.2473 0.7527 0.9978 (multiplicity 1)
Na 0.2650 0.2717 0.4251 (multiplicity 1)
Na 0.4993 0.5016 0.9976 (multiplicity 1)
Na 0.5170 0.0177 0.4256 (multiplicity 1)
Na 0.7459 0.2532 0.0001 (multiplicity 1)
Na 0.7650 0.7711 0.4262 (multiplicity 1)
Co 0.3692 0.6243 0.5679 (multiplicity 1)
Co 0.3931 0.1496 0.8568 (multiplicity 1)
Co 0.8694 0.1236 0.5675 (multiplicity 1)
Co 0.8944 0.6478 0.8572 (multiplicity 1)
C 0.3702 0.1240 0.1289 (multiplicity 1)
C 0.3942 0.6478 0.2959 (multiplicity 1)
C 0.8700 0.6239 0.1292 (multiplicity 1)
C 0.8940 0.1479 0.2956 (multiplicity 1)
S 0.1169 0.3710 0.7911 (multiplicity 1)
S 0.1464 0.9011 0.6334 (multiplicity 1)
S 0.6168 0.8711 0.7915 (multiplicity 1)
S 0.6469 0.4002 0.6338 (multiplicity 1)
O 0.0164 0.9493 0.5482 (multiplicity 1)
O 0.0676 0.5004 0.8763 (multiplicity 1)
O 0.0877 0.8421 0.7815 (multiplicity 1)
O 0.1756 0.4300 0.6429 (multiplicity 1)
O 0.1962 0.7719 0.5483 (multiplicity 1)
O 0.2469 0.3228 0.8763 (multiplicity 1)
O 0.2759 0.0258 0.0318 (multiplicity 1)
O 0.2819 0.5374 0.3568 (multiplicity 1)
O 0.2882 0.0445 0.6541 (multiplicity 1)
O 0.3555 0.1088 0.2667 (multiplicity 1)
O 0.4088 0.6625 0.1582 (multiplicity 1)
O 0.4737 0.7286 0.7710 (multiplicity 1)
O 0.4793 0.2376 0.0684 (multiplicity 1)
O 0.4914 0.7432 0.3929 (multiplicity 1)
O 0.5171 0.4495 0.5494 (multiplicity 1)
O 0.5681 0.0010 0.8761 (multiplicity 1)
O 0.5886 0.3415 0.7822 (multiplicity 1)
O 0.6756 0.9294 0.6431 (multiplicity 1)
O 0.6955 0.2705 0.5484 (multiplicity 1)
O 0.7463 0.8216 0.8765 (multiplicity 1)
O 0.7730 0.5281 0.0323 (multiplicity 1)
O 0.7825 0.0367 0.3564 (multiplicity 1)
O 0.7899 0.5426 0.6542 (multiplicity 1)
O 0.8554 0.6094 0.2670 (multiplicity 1)
O 0.9087 0.1625 0.1578 (multiplicity 1)
O 0.9746 0.2281 0.7706 (multiplicity 1)
O 0.9821 0.7346 0.0682 (multiplicity 1)
O 0.9906 0.2440 0.3925 (multiplicity 1)


# 4
The following is a PBE+U calculation of a relaxed structure of Li2Si2Ni2O7, from the Materials Project.

Summary:
The value obtained for the distance to the lowest polymorph of the same formula is 0.00 eV/f.u. Its crystal system is monoclinic.

a = 5.4845 Å, b = 13.0211 Å, c = 9.6504 Å
α = 90.00°, β = 123.38°, γ = 90.00°
Space group P2_1/c (No. 14)
Unique sites:
Li 0.0280 0.2491 0.3254 (multiplicity 4)
Li 0.2706 0.1415 0.6194 (multiplicity 4)
Si 0.2123 0.6097 0.5324 (multiplicity 4)
Si 0.3646 0.6769 0.0449 (multiplicity 4)
Ni 0.1695 0.5089 0.8093 (multiplicity 4)
Ni 0.4515 0.0856 0.1050 (multiplicity 4)
O 0.0760 0.6443 0.8626 (multiplicity 4)
O 0.0869 0.1655 0.0185 (multiplicity 4)
O 0.2003 0.5247 0.4012 (multiplicity 4)
O 0.2978 0.6633 0.1875 (multiplicity 4)
O 0.3421 0.1219 0.4284 (multiplicity 4)
O 0.3945 0.5491 0.7116 (multiplicity 4)
O 0.4402 0.6980 0.5397 (multiplicity 4)


| no. | ΔE_f (meV per atom) | theoretical density (g/cm3) |
| --- | --- | --- |
| 1 | -763 | 2.28 |
| 2 | -2520 | 3.62 |
| 3 | -1952 | 2.69 |
| 4 | -2398 | 3.46 |